# 1
CdI2: optimized geometry, PBE-GGA.

Lattice parameters (Å, degrees): 4.3439 4.3439 81.0374 90.00 90.00 120.00
Fractional positions:
I 0.3333 0.6667 0.0014
I 0.0000 0.0000 0.0923
I 0.0000 0.0000 0.2741
I 0.6667 0.3333 0.6804
I 0.0000 0.0000 0.9105
I 0.6667 0.3333 0.2259
I 0.6667 0.3333 0.3168
Cd 0.0000 0.0000 0.2045
I 0.6667 0.3333 0.5895
Cd 0.3333 0.6667 0.5682
Cd 0.0000 0.0000 0.0227
I 0.6667 0.3333 0.0441
I 0.6667 0.3333 0.4078
I 0.3333 0.6667 0.8623
Cd 0.3333 0.6667 0.1136
I 0.6667 0.3333 0.4986
Cd 0.3333 0.6667 0.7500
Cd 0.3333 0.6667 0.9318
Cd 0.3333 0.6667 0.6591
I 0.6667 0.3333 0.7714
I 0.0000 0.0000 0.6377
I 0.0000 0.0000 0.5468
I 0.6667 0.3333 0.1350
I 0.3333 0.6667 0.3650
I 0.0000 0.0000 0.7286
I 0.0000 0.0000 0.8196
I 0.0000 0.0000 0.4559
Cd 0.3333 0.6667 0.4773
Cd 0.3333 0.6667 0.2954
I 0.3333 0.6667 0.1832
Cd 0.0000 0.0000 0.3864
Cd 0.6667 0.3333 0.8409
I 0.6667 0.3333 0.9532

## Properties
The volume is 40.1 Å³/atom. Its space group is P3m1. As for the energy relative to the elements: -0.84 eV/atom.


# 2
CdI2: optimized geometry, PBE-GGA.

Lattice parameters (Å, degrees): 4.3323 4.3323 44.4431 90.00 90.00 120.00
Fractional positions:
I 0.6667 0.3333 0.5805
Cd 0.6667 0.3333 0.0417
Cd 0.3333 0.6667 0.5417
I 0.0000 0.0000 0.8361
Cd 0.3333 0.6667 0.2083
I 0.6667 0.3333 0.2472
I 0.0000 0.0000 0.6695
I 0.0000 0.0000 0.5028
I 0.3333 0.6667 0.0805
Cd 0.3333 0.6667 0.7083
Cd 0.3333 0.6667 0.8750
I 0.0000 0.0000 0.0028
I 0.6667 0.3333 0.4138
I 0.6667 0.3333 0.7472
I 0.0000 0.0000 0.3360
I 0.6667 0.3333 0.9139
Cd 0.3333 0.6667 0.3749
I 0.0000 0.0000 0.1695

## Properties
The volume is 40.1 Å³/atom. Its space group is P3m1. As for the energy relative to the elements: -0.84 eV/atom.


# 3
CdI2: optimized geometry, PBE-GGA.

Lattice parameters (Å, degrees): 4.3328 4.3328 59.2880 90.00 90.00 120.00
Fractional positions:
I 0.3333 0.6667 0.6541
I 0.6667 0.3333 0.3459
I 0.3333 0.6667 0.7791
I 0.6667 0.3333 0.7209
Cd 0.3333 0.6667 0.1250
I 0.6667 0.3333 0.4709
Cd 0.0000 0.0000 0.0000
I 0.0000 0.0000 0.5959
I 0.0000 0.0000 0.1542
Cd 0.3333 0.6667 0.3750
Cd 0.0000 0.0000 0.5000
I 0.6667 0.3333 0.2209
I 0.0000 0.0000 0.4041
I 0.3333 0.6667 0.9041
Cd 0.6667 0.3333 0.8750
Cd 0.0000 0.0000 0.7500
Cd 0.0000 0.0000 0.2500
I 0.0000 0.0000 0.8458
Cd 0.6667 0.3333 0.6250
I 0.3333 0.6667 0.2791
I 0.3333 0.6667 0.5291
I 0.6667 0.3333 0.0959
I 0.6667 0.3333 0.9709
I 0.3333 0.6667 0.0291

## Properties
The volume is 40.2 Å³/atom. Its space group is P-3m1. As for the energy relative to the elements: -0.84 eV/atom.


# 4
CdI2: optimized geometry, PBE-GGA.

Lattice parameters (Å, degrees): 4.3354 4.3354 130.4535 90.00 90.00 120.00
Fractional positions:
Cd 0.0000 0.0000 0.2500
I 0.3333 0.6667 0.1192
Cd 0.3333 0.6667 0.8971
I 0.6667 0.3333 0.4397
Cd 0.0000 0.0000 0.4854
I 0.6667 0.3333 0.9690
Cd 0.3333 0.6667 0.9558
I 0.6667 0.3333 0.7338
Cd 0.0000 0.0000 0.0147
I 0.6667 0.3333 0.9103
Cd 0.6667 0.3333 0.8382
I 0.0000 0.0000 0.4132
Cd 0.3333 0.6667 0.1912
Cd 0.3333 0.6667 0.7794
Cd 0.0000 0.0000 0.3677
I 0.3333 0.6667 0.4722
I 0.6667 0.3333 0.2632
I 0.0000 0.0000 0.7073
I 0.6667 0.3333 0.6750
I 0.6667 0.3333 0.3809
I 0.0000 0.0000 0.1780
I 0.0000 0.0000 0.0603
I 0.6667 0.3333 0.6161
I 0.0000 0.0000 0.8250
Cd 0.3333 0.6667 0.6618
I 0.6667 0.3333 0.4986
I 0.0000 0.0000 0.5309
I 0.0000 0.0000 0.7662
I 0.0000 0.0000 0.9426
Cd 0.0000 0.0000 0.6029
Cd 0.0000 0.0000 0.1324
Cd 0.3333 0.6667 0.0735
I 0.6667 0.3333 0.0279
Cd 0.3333 0.6667 0.3088
I 0.0000 0.0000 0.2956
I 0.6667 0.3333 0.2044
I 0.3333 0.6667 0.3544
I 0.6667 0.3333 0.0867
I 0.6667 0.3333 0.7926
I 0.6667 0.3333 0.3220
I 0.3333 0.6667 0.5897
Cd 0.3333 0.6667 0.7206
I 0.0000 0.0000 0.6486
I 0.0000 0.0000 0.8839
I 0.3333 0.6667 0.2368
Cd 0.3333 0.6667 0.5441
I 0.6667 0.3333 0.5573
I 0.3333 0.6667 0.0015
Cd 0.3333 0.6667 0.4265
I 0.3333 0.6667 0.8514
I 0.6667 0.3333 0.1456

## Properties
The volume is 41.6 Å³/atom. Its space group is P3m1. As for the energy relative to the elements: -0.84 eV/atom.


# 5
CdI2: optimized geometry, PBE-GGA.

Lattice parameters (Å, degrees): 4.3368 4.3368 99.9512 90.00 90.00 120.00
Fractional positions:
Cd 0.3333 0.6667 0.4810
I 0.6667 0.3333 0.8056
I 0.6667 0.3333 0.4982
I 0.0000 0.0000 0.1558
I 0.3333 0.6667 0.0787
I 0.0000 0.0000 0.6174
I 0.0000 0.0000 0.4637
Cd 0.3333 0.6667 0.3270
I 0.6667 0.3333 0.8825
I 0.6667 0.3333 0.1133
Cd 0.3333 0.6667 0.1730
Cd 0.0000 0.0000 0.4040
I 0.6667 0.3333 0.2672
I 0.6667 0.3333 0.7288
I 0.0000 0.0000 0.0018
I 0.6667 0.3333 0.0363
Cd 0.0000 0.0000 0.2500
I 0.3333 0.6667 0.8481
I 0.3333 0.6667 0.3867
Cd 0.0000 0.0000 0.8653
I 0.6667 0.3333 0.6517
I 0.3333 0.6667 0.6945
I 0.6667 0.3333 0.1903
Cd 0.0000 0.0000 0.7116
I 0.0000 0.0000 0.9252
I 0.3333 0.6667 0.2327
I 0.6667 0.3333 0.3443
Cd 0.3333 0.6667 0.7884
I 0.3333 0.6667 0.5405
I 0.6667 0.3333 0.5748
Cd 0.3333 0.6667 0.6345
Cd 0.3333 0.6667 0.9424
Cd 0.3333 0.6667 0.0191
I 0.6667 0.3333 0.9596
I 0.0000 0.0000 0.7712
I 0.0000 0.0000 0.3098
I 0.6667 0.3333 0.4213
Cd 0.0000 0.0000 0.5576
Cd 0.0000 0.0000 0.0960

## Properties
The volume is 41.7 Å³/atom. Its space group is P3m1. As for the energy relative to the elements: -0.84 eV/atom.


# 6
CdI2: optimized geometry, PBE-GGA.

Lattice parameters (Å, degrees): 4.3360 4.3360 68.6187 90.00 90.00 120.00
Fractional positions:
Cd 0.6667 0.3333 0.4708
Cd 0.3333 0.6667 0.5811
Cd 0.6667 0.3333 0.2466
Cd 0.6667 0.3333 0.9127
I 0.0000 0.0000 0.9378
I 0.0000 0.0000 0.0508
Cd 0.6667 0.3333 0.6915
I 0.0000 0.0000 0.6062
Cd 0.6667 0.3333 0.0258
I 0.3333 0.6667 0.8875
Cd 0.0000 0.0000 0.1362
I 0.6667 0.3333 0.7768
I 0.6667 0.3333 0.3852
I 0.6667 0.3333 0.5559
I 0.0000 0.0000 0.2715
I 0.0000 0.0000 0.8271
I 0.3333 0.6667 0.6663
I 0.0000 0.0000 0.4959
I 0.0000 0.0000 0.7166
I 0.3333 0.6667 0.3349
I 0.3333 0.6667 0.4456
I 0.3333 0.6667 0.2216
I 0.3333 0.6667 0.0008
Cd 0.3333 0.6667 0.8020
I 0.6667 0.3333 0.1611
I 0.3333 0.6667 0.1112
Cd 0.0000 0.0000 0.3601

## Properties
The volume is 41.4 Å³/atom. Its space group is P3m1. As for the energy relative to the elements: -0.84 eV/atom.


# 7
CdI2: optimized geometry, PBE-GGA.

Lattice parameters (Å, degrees): 4.3450 4.3450 73.6137 90.00 90.00 120.00
Fractional positions:
I 0.0000 0.0000 0.5015
I 0.6667 0.3333 0.5485
I 0.6667 0.3333 0.3015
I 0.3333 0.6667 0.3485
Cd 0.6667 0.3333 0.2250
I 0.6667 0.3333 0.9015
Cd 0.6667 0.3333 0.0250
I 0.0000 0.0000 0.6015
I 0.0000 0.0000 0.4015
I 0.3333 0.6667 0.8485
I 0.0000 0.0000 0.0015
I 0.3333 0.6667 0.7485
I 0.3333 0.6667 0.0485
I 0.0000 0.0000 0.7015
Cd 0.0000 0.0000 0.8250
I 0.6667 0.3333 0.8015
Cd 0.6667 0.3333 0.7250
Cd 0.3333 0.6667 0.5250
Cd 0.3333 0.6667 0.6250
Cd 0.0000 0.0000 0.1250
I 0.6667 0.3333 0.6485
I 0.3333 0.6667 0.4485
I 0.3333 0.6667 0.2485
I 0.0000 0.0000 0.2015
I 0.3333 0.6667 0.9485
I 0.3333 0.6667 0.1485
Cd 0.6667 0.3333 0.4250
Cd 0.0000 0.0000 0.9250
Cd 0.0000 0.0000 0.3250
I 0.6667 0.3333 0.1015

## Properties
The volume is 40.1 Å³/atom. Its space group is P3m1. As for the energy relative to the elements: -0.84 eV/atom.


# 8
CdI2: optimized geometry, PBE-GGA.

Lattice parameters (Å, degrees): 4.3330 4.3330 60.1545 90.00 90.00 120.00
Fractional positions:
I 0.0000 0.0000 0.1275
I 0.6667 0.3333 0.0600
Cd 0.0000 0.0000 0.4062
I 0.3333 0.6667 0.5026
I 0.6667 0.3333 0.4349
I 0.6667 0.3333 0.1849
I 0.6667 0.3333 0.9349
I 0.3333 0.6667 0.3775
Cd 0.0000 0.0000 0.5313
Cd 0.3333 0.6667 0.1562
I 0.3333 0.6667 0.0026
I 0.3333 0.6667 0.7526
I 0.6667 0.3333 0.8100
Cd 0.0000 0.0000 0.9062
I 0.6667 0.3333 0.3100
Cd 0.0000 0.0000 0.0313
Cd 0.0000 0.0000 0.6562
I 0.6667 0.3333 0.6849
Cd 0.0000 0.0000 0.2813
I 0.6667 0.3333 0.5600
I 0.3333 0.6667 0.6275
I 0.3333 0.6667 0.8775
I 0.3333 0.6667 0.2526
Cd 0.0000 0.0000 0.7813

## Properties
The volume is 40.8 Å³/atom. Its space group is P3m1. As for the energy relative to the elements: -0.84 eV/atom.


# 9
CdI2: optimized geometry, PBE-GGA.

Lattice parameters (Å, degrees): 4.3459 4.3459 66.0873 90.00 90.00 120.00
Fractional positions:
I 0.6667 0.3333 0.8905
I 0.3333 0.6667 0.1650
I 0.6667 0.3333 0.7794
I 0.0000 0.0000 0.0017
I 0.6667 0.3333 0.6683
Cd 0.3333 0.6667 0.6944
I 0.6667 0.3333 0.3350
Cd 0.0000 0.0000 0.8056
Cd 0.6667 0.3333 0.0278
Cd 0.0000 0.0000 0.5833
I 0.3333 0.6667 0.9428
I 0.0000 0.0000 0.4461
I 0.0000 0.0000 0.2239
I 0.3333 0.6667 0.8317
Cd 0.6667 0.3333 0.4722
I 0.3333 0.6667 0.6094
Cd 0.0000 0.0000 0.3611
I 0.3333 0.6667 0.2761
Cd 0.6667 0.3333 0.2500
I 0.3333 0.6667 0.4984
I 0.0000 0.0000 0.7205
Cd 0.0000 0.0000 0.9167
I 0.3333 0.6667 0.3872
I 0.6667 0.3333 0.1128
Cd 0.0000 0.0000 0.1389
I 0.3333 0.6667 0.0539
I 0.6667 0.3333 0.5572

## Properties
The volume is 40.0 Å³/atom. Its space group is P3m1. As for the energy relative to the elements: -0.84 eV/atom.


# 10
CdI2: optimized geometry, PBE-GGA.

Lattice parameters (Å, degrees): 4.3326 4.3326 59.2657 90.00 90.00 120.00
Fractional positions:
I 0.0000 0.0000 0.0604
I 0.3333 0.6667 0.5021
I 0.3333 0.6667 0.1271
I 0.0000 0.0000 0.6854
Cd 0.6667 0.3333 0.1563
I 0.0000 0.0000 0.8104
I 0.6667 0.3333 0.0021
Cd 0.6667 0.3333 0.7813
I 0.6667 0.3333 0.6271
I 0.3333 0.6667 0.8771
I 0.0000 0.0000 0.4354
Cd 0.3333 0.6667 0.4062
Cd 0.3333 0.6667 0.2813
Cd 0.3333 0.6667 0.0313
I 0.0000 0.0000 0.5604
I 0.0000 0.0000 0.3104
I 0.0000 0.0000 0.1854
I 0.6667 0.3333 0.2521
I 0.3333 0.6667 0.7521
I 0.0000 0.0000 0.9354
Cd 0.3333 0.6667 0.6563
Cd 0.6667 0.3333 0.5313
I 0.6667 0.3333 0.3771
Cd 0.6667 0.3333 0.9062

## Properties
The volume is 40.1 Å³/atom. Its space group is P6_3mc. As for the energy relative to the elements: -0.84 eV/atom.


# 11
CdI2: optimized geometry, PBE-GGA.

Lattice parameters (Å, degrees): 4.3329 4.3329 67.0407 90.00 90.00 120.00
Fractional positions:
Cd 0.0000 0.0000 0.4722
Cd 0.6667 0.3333 0.0278
I 0.6667 0.3333 0.4465
I 0.6667 0.3333 0.6687
I 0.3333 0.6667 0.4980
I 0.3333 0.6667 0.3868
I 0.3333 0.6667 0.1646
Cd 0.0000 0.0000 0.6944
I 0.6667 0.3333 0.3354
I 0.0000 0.0000 0.2243
Cd 0.6667 0.3333 0.5833
I 0.3333 0.6667 0.8313
I 0.3333 0.6667 0.0536
I 0.3333 0.6667 0.2758
I 0.3333 0.6667 0.7202
Cd 0.0000 0.0000 0.8056
Cd 0.0000 0.0000 0.3611
Cd 0.0000 0.0000 0.9166
I 0.6667 0.3333 0.7798
I 0.0000 0.0000 0.0021
I 0.3333 0.6667 0.6091
Cd 0.0000 0.0000 0.1389
I 0.6667 0.3333 0.1132
I 0.6667 0.3333 0.8909
I 0.3333 0.6667 0.9424
Cd 0.6667 0.3333 0.2500
I 0.0000 0.0000 0.5576

## Properties
The volume is 40.4 Å³/atom. Its space group is P3m1. As for the energy relative to the elements: -0.84 eV/atom.


# 12
CdI4N4: optimized geometry, PBE-GGA.

Lattice parameters (Å, degrees): 7.1486 7.1486 6.3065 78.98 78.98 81.63
Fractional positions:
N 0.0779 0.7004 0.2568
I 0.4104 0.4104 0.7031
I 0.1999 0.1999 0.1961
N 0.9221 0.2996 0.7432
I 0.5896 0.5896 0.2969
Cd 0.0000 0.0000 0.0000
N 0.2996 0.9221 0.7432
I 0.8001 0.8001 0.8039
N 0.7004 0.0779 0.2568

## Properties
The volume is 34.3 Å³/atom. Its space group is C2/m. As for the energy relative to the elements: 1.95 eV/atom.